{"formula": "LiTaF6", "functional": "PBE", "state": "relaxed", "formation_energy_ev_per_atom": -3.58, "lattice_angstrom": [[0.0000, 3.9910, 3.9910], [3.9910, 0.0000, 3.9910], [3.9910, 3.9910, 0.0000]], "species": ["Li", "Ta", "F", "F", "F", "F", "F", "F"], "frac_coords": [[0.0000, 0.0000, 0.0000], [0.5000, 0.5000, 0.5000], [0.2590, 0.2590, 0.7410], [0.2590, 0.7410, 0.2590], [0.2590, 0.7410, 0.7410], [0.7410, 0.2590, 0.2590], [0.7410, 0.2590, 0.7410], [0.7410, 0.7410, 0.2590]]}

***

{"formula": "Zr5Ga4", "functional": "PBE", "state": "relaxed", "formation_energy_ev_per_atom": -0.55, "lattice_angstrom": [[8.4183, 0.0000, 0.0000], [-4.2092, 7.2905, 0.0000], [0.0000, 0.0000, 5.7661]], "species": ["Zr", "Zr", "Zr", "Zr", "Zr", "Zr", "Zr", "Zr", "Zr", "Zr", "Ga", "Ga", "Ga", "Ga", "Ga", "Ga", "Ga", "Ga"], "frac_coords": [[0.0000, 0.2834, 0.2500], [0.0000, 0.7166, 0.7500], [0.2834, 0.0000, 0.2500], [0.2834, 0.2834, 0.7500], [0.3333, 0.6667, 0.0000], [0.3333, 0.6667, 0.5000], [0.6667, 0.3333, 0.0000], [0.6667, 0.3333, 0.5000], [0.7166, 0.0000, 0.7500], [0.7166, 0.7166, 0.2500], [0.0000, 0.0000, 0.0000], [0.0000, 0.0000, 0.5000], [0.0000, 0.3764, 0.7500], [0.0000, 0.6236, 0.2500], [0.3764, 0.0000, 0.7500], [0.3764, 0.3764, 0.2500], [0.6236, 0.0000, 0.2500], [0.6236, 0.6236, 0.7500]]}

***

{"formula": "Hf6Al16Rh7", "functional": "PBE", "state": "relaxed", "formation_energy_ev_per_atom": -0.79, "lattice_angstrom": [[0.0000, 6.1535, 6.1535], [6.1535, 0.0000, 6.1535], [6.1535, 6.1535, 0.0000]], "species": ["Hf", "Hf", "Hf", "Hf", "Hf", "Hf", "Al", "Al", "Al", "Al", "Al", "Al", "Al", "Al", "Al", "Al", "Al", "Al", "Al", "Al", "Al", "Al", "Rh", "Rh", "Rh", "Rh", "Rh", "Rh", "Rh"], "frac_coords": [[0.1854, 0.1854, 0.8146], [0.1854, 0.8146, 0.1854], [0.1854, 0.8146, 0.8146], [0.8146, 0.1854, 0.1854], [0.8146, 0.1854, 0.8146], [0.8146, 0.8146, 0.1854], [0.1408, 0.6197, 0.6197], [0.1623, 0.1623, 0.1623], [0.1623, 0.1623, 0.5131], [0.1623, 0.5131, 0.1623], [0.3803, 0.3803, 0.3803], [0.3803, 0.3803, 0.8592], [0.3803, 0.8592, 0.3803], [0.4869, 0.8377, 0.8377], [0.5131, 0.1623, 0.1623], [0.6197, 0.1408, 0.6197], [0.6197, 0.6197, 0.1408], [0.6197, 0.6197, 0.6197], [0.8377, 0.4869, 0.8377], [0.8377, 0.8377, 0.4869], [0.8377, 0.8377, 0.8377], [0.8592, 0.3803, 0.3803], [0.0000, 0.0000, 0.5000], [0.0000, 0.5000, 0.0000], [0.0000, 0.5000, 0.5000], [0.5000, 0.0000, 0.0000], [0.5000, 0.0000, 0.5000], [0.5000, 0.5000, 0.0000], [0.5000, 0.5000, 0.5000]]}

***

{"formula": "CsC3Se3N3", "functional": "PBE", "state": "relaxed", "formation_energy_ev_per_atom": 0.14, "relative_energy_ev_per_atom": 0.094, "lattice_angstrom": [[5.7852, 0.0000, 0.0000], [1.3457, 8.3904, 0.0000], [0.6728, 4.1952, 10.8259]], "species": ["Cs", "Cs", "C", "C", "C", "C", "C", "C", "Se", "Se", "Se", "Se", "Se", "Se", "N", "N", "N", "N", "N", "N"], "frac_coords": [[0.0000, 0.0000, 0.0000], [0.4846, 0.5533, 0.8932], [0.0754, 0.4207, 0.7003], [0.4433, 0.1251, 0.2074], [0.4973, 0.1295, 0.7404], [0.5688, 0.6702, 0.2158], [0.9420, 0.8758, 0.6838], [0.9971, 0.4137, 0.1742], [0.9996, 0.3341, 0.3392], [0.2360, 0.0223, 0.3268], [0.2832, 0.5147, 0.5795], [0.5072, 0.2172, 0.5669], [0.7299, 0.9069, 0.5813], [0.7855, 0.6344, 0.3390], [0.0047, 0.4674, 0.0567], [0.0726, 0.8500, 0.7717], [0.4318, 0.6987, 0.1360], [0.5039, 0.0792, 0.8418], [0.5815, 0.1671, 0.1360], [0.9230, 0.3787, 0.7804]]}